[1]
Entry from Materials Project: Sr3MoO6 after structural relaxation (GGA+U).

The structure in extended XYZ format:
```
10
Lattice="-5.616 -2.304 0.216 -2.808 -0.660 5.346 -4.698 3.578 1.425" Properties=species:S:1:pos:R:3 pbc="T T T"
O -6.043 -1.126 1.695
O -7.080 1.740 5.292
Sr -9.842 0.460 5.240
Sr -6.561 0.307 3.493
O -7.584 -1.488 4.629
O -4.502 -0.224 4.510
Mo 0.000 0.000 0.000
O -5.539 2.102 2.358
Sr -3.281 0.153 1.747
O -8.621 0.837 2.477
```

Computed properties:
- space group = Fm-3m (225)

[2]
Entry from Materials Project: Ga2FeP3O12 after structural relaxation (GGA+U).

The structure in extended XYZ format:
```
18
Lattice="2.491 4.360 0.000 -2.491 4.360 0.000 0.000 0.022 11.283" Properties=species:S:1:pos:R:3 pbc="T T T"
P 1.348 6.362 9.372
O 0.329 1.818 8.937
O -1.243 2.970 10.571
O -1.115 5.537 6.097
O 0.552 6.945 8.179
O 0.810 4.986 9.816
O 0.681 3.951 6.835
P 1.348 2.381 1.910
O 0.552 1.797 3.103
Fe -0.230 4.360 0.000
O -1.115 3.205 5.186
O 0.329 6.925 2.345
Ga 1.348 6.366 3.778
O -1.243 5.773 0.711
Ga 1.348 2.377 7.504
O 0.810 3.757 1.467
P -0.208 4.371 5.641
O 0.681 4.792 4.448
```

Computed properties:
- space group = C2 (5)

no.,VASP energy (eV per formula unit)
1,-65.5
2,-124.5